VASP calculation (PBE-GGA) on a geometry-optimized Tb2Si3Rh structure.

Values from the calculation:
- crystal system = hexagonal
- ΔH_f (0 K) (eV/f.u.) = -5.592
- mass density (g/cm³) = 7.27
- M_tot (μB/f.u.) = 0.00
- electronic total energy (eV/atom) = -6.42

CIF file:
```
data_Tb2Si3Rh
_space_group_name_H-M_alt 'P 1'
_space_group_IT_number 1
_cell_length_a 8.1746
_cell_length_b 8.1746
_cell_length_c 7.9769
_cell_angle_alpha 90.00
_cell_angle_beta 90.00
_cell_angle_gamma 120.00
loop_
_space_group_symop_operation_xyz
'x,y,z'
loop_
_atom_site_label
_atom_site_fract_x
_atom_site_fract_y
_atom_site_fract_z
Tb1 0.0000 0.0000 0.2500
Tb2 0.0000 0.0000 0.7500
Tb3 0.0076 0.5038 0.2500
Tb4 0.4962 0.5038 0.2500
Tb5 0.4962 0.9924 0.2500
Tb6 0.5038 0.0076 0.7500
Tb7 0.5038 0.4962 0.7500
Tb8 0.9924 0.4962 0.7500
Si1 0.1662 0.3323 0.5006
Si2 0.1662 0.3323 0.9994
Si3 0.1662 0.8338 0.5006
Si4 0.1662 0.8338 0.9994
Si5 0.3323 0.1662 0.0006
Si6 0.3323 0.1662 0.4994
Si7 0.6677 0.8338 0.5006
Si8 0.6677 0.8338 0.9994
Si9 0.8338 0.1662 0.0006
Si10 0.8338 0.1662 0.4994
Si11 0.8338 0.6677 0.0006
Si12 0.8338 0.6677 0.4994
Rh1 0.3333 0.6667 0.5148
Rh2 0.3333 0.6667 0.9852
Rh3 0.6667 0.3333 0.0148
Rh4 0.6667 0.3333 0.4852
```

VASP calculation (PBE-GGA) on a geometry-optimized DyInPt4 structure.

Values from the calculation:
- crystal system = cubic
- ΔH_f (0 K) (eV/f.u.) = -4.771
- mass density (g/cm³) = 15.71
- M_tot (μB/f.u.) = 0.00
- electronic total energy (eV/atom) = -6.07

CIF file:
```
data_DyInPt4
_space_group_name_H-M_alt 'P 1'
_space_group_IT_number 1
_cell_length_a 5.4071
_cell_length_b 5.4071
_cell_length_c 5.4071
_cell_angle_alpha 60.00
_cell_angle_beta 60.00
_cell_angle_gamma 60.00
loop_
_space_group_symop_operation_xyz
'x,y,z'
loop_
_atom_site_label
_atom_site_fract_x
_atom_site_fract_y
_atom_site_fract_z
Dy1 0.0000 0.0000 0.0000
In1 0.2500 0.2500 0.2500
Pt1 0.1260 0.6247 0.6247
Pt2 0.6247 0.1260 0.6247
Pt3 0.6247 0.6247 0.1260
Pt4 0.6247 0.6247 0.6247
```

VASP calculation (PBE-GGA) on a geometry-optimized K16Tl22Pd structure.

Values from the calculation:
- crystal system = trigonal
- ΔH_f (0 K) (eV/f.u.) = -5.370
- mass density (g/cm³) = 5.38
- M_tot (μB/f.u.) = 0.58
- electronic total energy (eV/atom) = -2.06

CIF file:
```
data_K16Tl22Pd
_space_group_name_H-M_alt 'P 1'
_space_group_IT_number 1
_cell_length_a 18.4900
_cell_length_b 18.4900
_cell_length_c 18.4900
_cell_angle_alpha 32.40
_cell_angle_beta 32.40
_cell_angle_gamma 32.40
loop_
_space_group_symop_operation_xyz
'x,y,z'
loop_
_atom_site_label
_atom_site_fract_x
_atom_site_fract_y
_atom_site_fract_z
K1 0.0743 0.8434 0.3993
K2 0.1041 0.4365 0.6477
K3 0.1566 0.9257 0.6008
K4 0.1724 0.1724 0.1724
K5 0.3274 0.3274 0.3274
K6 0.3523 0.5635 0.8959
K7 0.3992 0.0743 0.8434
K8 0.4365 0.6477 0.1041
K9 0.5635 0.8959 0.3523
K10 0.6007 0.1566 0.9257
K11 0.6477 0.1041 0.4365
K12 0.6726 0.6726 0.6726
K13 0.8276 0.8276 0.8276
K14 0.8434 0.3993 0.0743
K15 0.8959 0.3523 0.5635
K16 0.9257 0.6008 0.1566
Tl1 0.0000 0.2674 0.7326
Tl2 0.0238 0.7540 0.3162
Tl3 0.0546 0.0546 0.0546
Tl4 0.1673 0.4789 0.7595
Tl5 0.2405 0.5211 0.8327
Tl6 0.2460 0.9762 0.6838
Tl7 0.2674 0.7326 0.0000
Tl8 0.2820 0.7180 0.5000
Tl9 0.3162 0.0238 0.7540
Tl10 0.4484 0.4484 0.4484
Tl11 0.4789 0.7595 0.1673
Tl12 0.5000 0.2820 0.7180
Tl13 0.5211 0.8327 0.2405
Tl14 0.5516 0.5516 0.5516
Tl15 0.6838 0.2460 0.9762
Tl16 0.7180 0.5000 0.2820
Tl17 0.7326 0.0000 0.2674
Tl18 0.7540 0.3162 0.0238
Tl19 0.7595 0.1673 0.4789
Tl20 0.8327 0.2405 0.5211
Tl21 0.9454 0.9454 0.9454
Tl22 0.9762 0.6838 0.2460
Pd1 0.0000 0.0000 0.0000
```

VASP calculation (PBE-GGA) on a geometry-optimized HfRe2 structure.

Values from the calculation:
- crystal system = hexagonal
- ΔH_f (0 K) (eV/f.u.) = -1.189
- mass density (g/cm³) = 17.50
- electronic total energy (eV/atom) = -12.01

CIF file:
```
data_HfRe2
_space_group_name_H-M_alt 'P 1'
_space_group_IT_number 1
_cell_length_a 5.2834
_cell_length_b 5.2834
_cell_length_c 8.6474
_cell_angle_alpha 90.00
_cell_angle_beta 90.00
_cell_angle_gamma 120.00
loop_
_space_group_symop_operation_xyz
'x,y,z'
loop_
_atom_site_label
_atom_site_fract_x
_atom_site_fract_y
_atom_site_fract_z
Hf1 0.3333 0.6667 0.0620
Hf2 0.3333 0.6667 0.4380
Hf3 0.6667 0.3333 0.5620
Hf4 0.6667 0.3333 0.9380
Re1 0.0000 0.0000 0.0000
Re2 0.0000 0.0000 0.5000
Re3 0.1719 0.3438 0.7500
Re4 0.1719 0.8281 0.7500
Re5 0.3438 0.1719 0.2500
Re6 0.6562 0.8281 0.7500
Re7 0.8281 0.1719 0.2500
Re8 0.8281 0.6562 0.2500
```